YGa5Co | meta-GGA r2SCAN | relaxed

POSCAR file:
```
YGa5Co
1.0
4.178 0.000 0.000
0.000 4.178 0.000
0.000 0.000 6.775
Y Ga Co
1 5 1
direct
0.000 0.000 0.000
0.000 0.500 0.312
0.000 0.500 0.688
0.500 0.000 0.312
0.500 0.000 0.688
0.500 0.500 0.000
0.000 0.000 0.500
```

## Properties
The symmetry is P4/mmm (123). As for the energy relative to the elements: -0.46 eV per atom.

Sr2H3I | meta-GGA r2SCAN | relaxed

POSCAR file:
```
Sr2H3I
1.0
4.243 0.000 0.000
-2.121 3.674 0.000
0.000 0.000 7.683
Sr H I
2 3 1
direct
0.333 0.667 0.321
0.667 0.333 0.679
0.000 0.000 0.500
0.333 0.667 0.643
0.667 0.333 0.357
0.000 0.000 0.000
```

## Properties
The symmetry is P-3m1 (164). As for the energy relative to the elements: -1.00 eV per atom.

Sr2HfO4 | meta-GGA r2SCAN | relaxed

POSCAR file:
```
Sr2HfO4
1.0
4.079 0.000 0.000
0.000 4.079 0.000
0.000 0.000 12.746
Sr Hf O
4 2 8
direct
0.000 0.000 0.147
0.000 0.000 0.853
0.500 0.500 0.353
0.500 0.500 0.647
0.000 0.000 0.500
0.500 0.500 0.000
0.000 0.000 0.336
0.000 0.000 0.664
0.000 0.500 0.000
0.000 0.500 0.500
0.500 0.000 0.000
0.500 0.000 0.500
0.500 0.500 0.164
0.500 0.500 0.836
```

## Properties
The symmetry is I4/mmm (139). As for the energy relative to the elements: -3.49 eV per atom. The energy above the most stable polymorph in this dataset comes out at 9 meV/atom.

MgZn5 | meta-GGA r2SCAN | relaxed

POSCAR file:
```
MgZn5
1.0
2.381 1.375 4.636
-2.381 1.375 4.636
0.000 -2.749 4.636
Mg Zn
1 5
direct
0.000 0.000 0.000
0.171 0.829 0.500
0.336 0.336 0.336
0.500 0.171 0.829
0.664 0.664 0.664
0.829 0.500 0.171
```

## Properties
The symmetry is R32 (155). As for the energy relative to the elements: 0.00 eV per atom.

Nb2C | meta-GGA r2SCAN | relaxed

POSCAR file:
```
Nb2C
1.0
11.036 0.000 0.000
0.000 3.106 0.000
0.000 0.000 4.992
Nb C
8 4
direct
0.046 0.250 0.246
0.203 0.250 0.734
0.297 0.750 0.234
0.454 0.750 0.746
0.546 0.250 0.254
0.703 0.250 0.766
0.797 0.750 0.266
0.954 0.750 0.754
0.124 0.750 0.990
0.376 0.250 0.490
0.624 0.750 0.510
0.876 0.250 0.010
```

## Properties
The symmetry is Pnma (62). As for the energy relative to the elements: -0.54 eV per atom.

LiYSn | meta-GGA r2SCAN | relaxed

POSCAR file:
```
LiYSn
1.0
9.323 0.000 0.000
-4.661 8.074 0.000
0.000 0.000 7.390
Li Y Sn
8 8 8
direct
0.167 0.335 0.000
0.167 0.833 0.000
0.333 0.667 0.627
0.335 0.167 0.500
0.665 0.833 0.000
0.667 0.333 0.127
0.833 0.167 0.500
0.833 0.665 0.500
0.000 0.000 0.296
0.000 0.000 0.796
0.026 0.513 0.302
0.487 0.513 0.302
0.487 0.974 0.302
0.513 0.026 0.802
0.513 0.487 0.802
0.974 0.487 0.802
0.167 0.333 0.567
0.167 0.833 0.567
0.333 0.167 0.067
0.333 0.667 0.035
0.667 0.333 0.535
0.667 0.833 0.567
0.833 0.167 0.067
0.833 0.667 0.067
```

## Properties
The symmetry is P6_3mc (186). As for the energy relative to the elements: -0.78 eV per atom.